Computed, not measured: a geometry-optimized VGeO4 structure at the GGA+U level of DFT.

```
VGeO4
1.0
4.3171 0.0000 0.0000
0.0000 11.6288 0.0000
0.0000 0.0000 4.7273
V Ge O
4 4 16
Direct
0.0000 0.0709 0.2500
0.0000 0.9291 0.7500
0.5000 0.4291 0.7500
0.5000 0.5709 0.2500
0.0000 0.3216 0.2500
0.0000 0.6784 0.7500
0.5000 0.1784 0.7500
0.5000 0.8216 0.2500
0.2300 0.1930 0.0815
0.2300 0.8070 0.5815
0.2481 0.4380 0.0771
0.2481 0.5620 0.5771
0.2519 0.0620 0.5771
0.2519 0.9380 0.0771
0.2700 0.3070 0.5815
0.2700 0.6930 0.0815
0.7300 0.3070 0.9185
0.7300 0.6930 0.4185
0.7481 0.0620 0.9229
0.7481 0.9380 0.4229
0.7519 0.4380 0.4229
0.7519 0.5620 0.9229
0.7700 0.1930 0.4185
0.7700 0.8070 0.9185
```

Space-group type: Pbcn

***

Computed, not measured: a geometry-optimized V2Zn3Ge3O12 structure at the GGA+U level of DFT.

```
V2Zn3Ge3O12
1.0
-6.0915 6.0915 6.0915
6.0915 -6.0915 6.0915
6.0915 6.0915 -6.0915
V Zn Ge O
8 12 12 48
Direct
0.0000 0.0000 0.0000
0.0000 0.0000 0.5000
0.0000 0.5000 0.0000
0.0000 0.5000 0.5000
0.5000 0.0000 0.0000
0.5000 0.0000 0.5000
0.5000 0.5000 0.0000
0.5000 0.5000 0.5000
0.1250 0.2500 0.3750
0.1250 0.3750 0.7500
0.2500 0.3750 0.1250
0.2500 0.8750 0.6250
0.3750 0.1250 0.2500
0.3750 0.7500 0.1250
0.6250 0.2500 0.8750
0.6250 0.8750 0.7500
0.7500 0.1250 0.3750
0.7500 0.6250 0.8750
0.8750 0.6250 0.2500
0.8750 0.7500 0.6250
0.1250 0.7500 0.8750
0.1250 0.8750 0.2500
0.2500 0.1250 0.8750
0.2500 0.6250 0.3750
0.3750 0.2500 0.6250
0.3750 0.6250 0.7500
0.6250 0.3750 0.2500
0.6250 0.7500 0.3750
0.7500 0.3750 0.6250
0.7500 0.8750 0.1250
0.8750 0.1250 0.7500
0.8750 0.2500 0.1250
0.0255 0.2082 0.1270
0.0255 0.3172 0.8984
0.0812 0.7082 0.6828
0.0812 0.8730 0.3984
0.1016 0.6270 0.4188
0.1016 0.9745 0.6828
0.1270 0.0255 0.2082
0.1270 0.6016 0.9188
0.1828 0.2082 0.5812
0.1828 0.4745 0.6016
0.2082 0.1270 0.0255
0.2082 0.5812 0.1828
0.2918 0.3172 0.9188
0.2918 0.4745 0.3730
0.3172 0.8984 0.0255
0.3172 0.9188 0.2918
0.3730 0.2918 0.4745
0.3730 0.5812 0.8984
0.3984 0.0812 0.8730
0.3984 0.8172 0.5255
0.4188 0.1016 0.6270
0.4188 0.8172 0.7918
0.4745 0.3730 0.2918
0.4745 0.6016 0.1828
0.5255 0.3984 0.8172
0.5255 0.6270 0.7082
0.5812 0.1828 0.2082
0.5812 0.8984 0.3730
0.6016 0.1828 0.4745
0.6016 0.9188 0.1270
0.6270 0.4188 0.1016
0.6270 0.7082 0.5255
0.6828 0.0812 0.7082
0.6828 0.1016 0.9745
0.7082 0.5255 0.6270
0.7082 0.6828 0.0812
0.7918 0.4188 0.8172
0.7918 0.8730 0.9745
0.8172 0.5255 0.3984
0.8172 0.7918 0.4188
0.8730 0.3984 0.0812
0.8730 0.9745 0.7918
0.8984 0.0255 0.3172
0.8984 0.3730 0.5812
0.9188 0.1270 0.6016
0.9188 0.2918 0.3172
0.9745 0.6828 0.1016
0.9745 0.7918 0.8730
```

Space-group type: Ia-3d
Spin magnetization: 0.20 μB per atom

***

Computed, not measured: a geometry-optimized GeW6O18 structure at the GGA+U level of DFT.

```
GeW6O18
1.0
23.1717 0.0000 0.0000
0.0000 6.5504 3.7885
0.0000 -6.5504 3.7885
Ge W O
3 18 54
Direct
0.0000 0.0000 0.0000
0.1663 0.7972 0.7972
0.8337 0.7972 0.7972
0.0000 0.4029 0.4029
0.0000 0.4078 0.8925
0.0000 0.8925 0.4078
0.1668 0.3886 0.9027
0.1673 0.3934 0.3934
0.1668 0.9027 0.3886
0.3343 0.3992 0.3992
0.3337 0.3998 0.8998
0.3337 0.8998 0.3998
0.5000 0.3975 0.3975
0.5000 0.3983 0.8977
0.5000 0.8977 0.3983
0.6657 0.3992 0.3992
0.6663 0.3998 0.8998
0.6663 0.8998 0.3998
0.8332 0.3886 0.9027
0.8327 0.3934 0.3934
0.8332 0.9027 0.3886
0.0000 0.0862 0.2817
0.0000 0.1167 0.6809
0.0000 0.2817 0.0862
0.0000 0.4866 0.6961
0.0000 0.6809 0.1167
0.0000 0.6961 0.4866
0.0829 0.3977 0.3977
0.0830 0.3985 0.8985
0.0830 0.8985 0.3985
0.1652 0.1006 0.3118
0.1652 0.3118 0.1006
0.1649 0.5152 0.7102
0.1649 0.7102 0.5152
0.1656 0.1156 0.6806
0.1656 0.6806 0.1156
0.2483 0.3985 0.8942
0.2481 0.3986 0.3986
0.2483 0.8942 0.3985
0.3316 0.1134 0.3283
0.3321 0.1132 0.6838
0.3316 0.3283 0.1134
0.3320 0.4695 0.6834
0.3320 0.6834 0.4695
0.3321 0.6838 0.1132
0.4161 0.3978 0.3978
0.4160 0.3981 0.8987
0.4160 0.8987 0.3981
0.5000 0.1133 0.6834
0.5000 0.1136 0.3286
0.5000 0.3286 0.1136
0.5000 0.4686 0.6833
0.5000 0.6834 0.1133
0.5000 0.6833 0.4686
0.5839 0.3978 0.3978
0.5840 0.3981 0.8987
0.5840 0.8987 0.3981
0.6684 0.1134 0.3283
0.6679 0.1132 0.6838
0.6684 0.3283 0.1134
0.6680 0.4695 0.6834
0.6680 0.6834 0.4695
0.6679 0.6838 0.1132
0.7517 0.3985 0.8942
0.7519 0.3986 0.3986
0.7517 0.8942 0.3985
0.8344 0.1156 0.6806
0.8344 0.6806 0.1156
0.8348 0.1006 0.3118
0.8348 0.3118 0.1006
0.8351 0.5152 0.7102
0.8351 0.7102 0.5152
0.9171 0.3977 0.3977
0.9170 0.3985 0.8985
0.9170 0.8985 0.3985
```

Space-group type: Amm2
Spin magnetization: 0.06 μB per atom

***

Computed, not measured: a geometry-optimized Ge2WO6 structure at the GGA+U level of DFT.

```
Ge2WO6
1.0
5.0722 -4.5808 0.0000
5.0722 4.5808 0.0000
-1.7266 0.0000 5.4302
Ge W O
4 2 12
Direct
0.1128 0.2871 0.2548
0.2871 0.1128 0.7548
0.7129 0.8872 0.2452
0.8872 0.7129 0.7452
0.4041 0.5959 0.7500
0.5959 0.4041 0.2500
0.1128 0.1634 0.4948
0.1268 0.5993 0.8124
0.1634 0.1128 0.9948
0.3159 0.4577 0.3632
0.4007 0.8732 0.6876
0.4577 0.3159 0.8632
0.5423 0.6841 0.1368
0.5993 0.1268 0.3124
0.6841 0.5423 0.6368
0.8366 0.8872 0.0052
0.8732 0.4007 0.1876
0.8872 0.8366 0.5052
```

Space-group type: C2/c
Distance to the lowest polymorph of the same formula: 0.0 meV per atom
Spin magnetization: 0.22 μB per atom

***

Computed, not measured: a geometry-optimized Ge2W9O27 structure at the GGA+U level of DFT.

```
Ge2W9O27
1.0
3.7988 -6.5793 0.0000
3.7988 6.5793 0.0000
-0.0121 0.0000 11.5900
Ge W O
2 9 27
Direct
0.1026 0.1026 0.3400
0.8974 0.8974 0.6600
0.0000 0.5000 0.0000
0.0060 0.4919 0.6671
0.4919 0.0060 0.6671
0.4954 0.4954 0.6675
0.5000 0.0000 0.0000
0.5000 0.5000 0.0000
0.5046 0.5046 0.3325
0.5081 0.9940 0.3329
0.9940 0.5081 0.3329
0.0000 0.5000 0.5000
0.0034 0.4989 0.1690
0.1873 0.3822 0.3357
0.2032 0.4154 0.6653
0.2151 0.4303 0.9990
0.2151 0.7849 0.0000
0.2171 0.7807 0.3344
0.2193 0.7829 0.6656
0.3822 0.1873 0.3357
0.4154 0.2032 0.6653
0.4303 0.2151 0.9990
0.4989 0.0034 0.1690
0.4987 0.4987 0.1699
0.5000 0.0000 0.5000
0.5000 0.5000 0.5000
0.5013 0.5013 0.8301
0.5011 0.9966 0.8310
0.5697 0.7849 0.0010
0.5846 0.7968 0.3347
0.6178 0.8127 0.6643
0.7807 0.2171 0.3344
0.7829 0.2193 0.6656
0.7849 0.2151 0.0000
0.7849 0.5697 0.0010
0.7968 0.5846 0.3347
0.8127 0.6178 0.6643
0.9966 0.5011 0.8310
```

Space-group type: C2/m
Spin magnetization: 0.10 μB per atom

***

Computed, not measured: a geometry-optimized Ge2WO6 structure at the GGA+U level of DFT.

```
Ge2WO6
1.0
9.8754 0.0000 0.0000
0.0000 9.2721 0.0000
-1.3321 0.0000 5.5549
Ge W O
8 4 24
Direct
0.0496 0.1651 0.3096
0.0496 0.3349 0.8096
0.4419 0.1667 0.6791
0.4419 0.3333 0.1791
0.5581 0.6667 0.8209
0.5581 0.8333 0.3209
0.9504 0.6651 0.1904
0.9504 0.8349 0.6904
0.2518 0.6499 0.0007
0.2518 0.8501 0.5007
0.7482 0.1499 0.4993
0.7482 0.3501 0.9993
0.1037 0.5144 0.8369
0.1037 0.9856 0.3369
0.1167 0.2472 0.0843
0.1167 0.2527 0.5843
0.1379 0.6824 0.2668
0.1379 0.8176 0.7668
0.3679 0.6884 0.7503
0.3679 0.8116 0.2503
0.3841 0.2127 0.3725
0.3841 0.2873 0.8725
0.3857 0.5075 0.2078
0.3857 0.9925 0.7078
0.6143 0.0075 0.2922
0.6143 0.4925 0.7922
0.6159 0.7127 0.1275
0.6159 0.7873 0.6275
0.6321 0.1884 0.7497
0.6321 0.3116 0.2497
0.8621 0.1824 0.2332
0.8621 0.3176 0.7332
0.8833 0.7472 0.4157
0.8833 0.7528 0.9157
0.8963 0.0144 0.6631
0.8963 0.4856 0.1631
```

Space-group type: P2_1/c
Distance to the lowest polymorph of the same formula: 2.5 meV per atom
Spin magnetization: 0.22 μB per atom

***

Computed, not measured: a geometry-optimized ZnGe2WO6 structure at the GGA+U level of DFT.

```
ZnGe2WO6
1.0
6.5756 -4.5767 0.0000
6.5756 4.5767 0.0000
-0.0127 0.0000 4.9922
Zn Ge W O
2 4 2 12
Direct
0.1381 0.8619 0.7500
0.8619 0.1381 0.2500
0.0738 0.2943 0.7199
0.2943 0.0738 0.2199
0.7057 0.9262 0.7801
0.9262 0.7057 0.2801
0.3976 0.6024 0.2500
0.6024 0.3976 0.7500
0.0595 0.1741 0.0495
0.1726 0.6772 0.4294
0.1741 0.0595 0.5495
0.3228 0.8274 0.0706
0.3593 0.4707 0.9527
0.4707 0.3593 0.4527
0.5293 0.6407 0.5473
0.6407 0.5293 0.0473
0.6772 0.1726 0.9294
0.8259 0.9405 0.4505
0.8274 0.3228 0.5706
0.9405 0.8259 0.9505
```

Space-group type: C2/c
Distance to the lowest polymorph of the same formula: 55.8 meV per atom
Spin magnetization: 0.00 μB per atom

***

Computed, not measured: a geometry-optimized ZnGe2WO6 structure at the GGA+U level of DFT.

```
ZnGe2WO6
1.0
12.5724 0.0000 0.0000
0.0000 8.7596 0.0000
-1.1726 0.0000 5.4103
Zn Ge W O
4 8 4 24
Direct
0.2229 0.0503 0.4472
0.2229 0.4497 0.9472
0.7771 0.5503 0.0528
0.7771 0.9497 0.5528
0.0845 0.1341 0.8515
0.0845 0.3659 0.3515
0.4614 0.1604 0.2143
0.4614 0.3396 0.7143
0.5386 0.6604 0.2857
0.5386 0.8396 0.7857
0.9155 0.6341 0.6485
0.9155 0.8659 0.1485
0.2974 0.6575 0.4819
0.2974 0.8425 0.9819
0.7026 0.1575 0.0181
0.7026 0.3425 0.5181
0.1491 0.1932 0.1962
0.1491 0.3068 0.6962
0.2014 0.0060 0.7836
0.2014 0.4940 0.2836
0.2267 0.6551 0.7909
0.2267 0.8449 0.2909
0.3943 0.6693 0.2029
0.3943 0.8307 0.7029
0.4005 0.2153 0.4662
0.4005 0.2847 0.9662
0.4206 0.5273 0.6641
0.4206 0.9727 0.1641
0.5794 0.0273 0.8359
0.5794 0.4727 0.3359
0.5995 0.7153 0.0338
0.5995 0.7847 0.5338
0.6057 0.1693 0.2971
0.6057 0.3307 0.7971
0.7733 0.1551 0.7091
0.7733 0.3449 0.2091
0.7986 0.5060 0.7164
0.7986 0.9940 0.2164
0.8509 0.6932 0.3038
0.8509 0.8068 0.8038
```

Space-group type: P2_1/c
Distance to the lowest polymorph of the same formula: 0.0 meV per atom
Spin magnetization: 0.20 μB per atom

***

Computed, not measured: a geometry-optimized NaVH2I2O9 structure at the GGA+U level of DFT.

```
NaVH2I2O9
1.0
9.1619 0.0000 0.0000
0.0000 5.3392 0.0000
-3.2453 0.0000 8.6600
Na V H I O
2 2 4 4 18
Direct
0.0401 0.0000 0.3279
0.9599 0.5000 0.6721
0.2744 0.4753 0.6134
0.7256 0.9753 0.3866
0.0306 0.4717 0.1825
0.1057 0.3069 0.0875
0.8943 0.8069 0.9125
0.9694 0.9717 0.8175
0.3218 0.0837 0.9336
0.3790 0.6578 0.3130
0.6210 0.1578 0.6870
0.6782 0.5837 0.0664
0.1135 0.3447 0.1940
0.1161 0.3060 0.5276
0.1215 0.1989 0.8757
0.2261 0.6868 0.7214
0.2594 0.8509 0.1559
0.2595 0.7104 0.4390
0.3865 0.2303 0.7761
0.4200 0.3157 0.0784
0.4766 0.4037 0.5741
0.5234 0.9037 0.4259
0.5800 0.8157 0.9216
0.6135 0.7303 0.2239
0.7405 0.2104 0.5610
0.7406 0.3509 0.8441
0.7739 0.1868 0.2786
0.8785 0.6989 0.1243
0.8839 0.8060 0.4724
0.8865 0.8447 0.8060
```

Space-group type: P2_1
Spin magnetization: 0.00 μB per atom

***

| no. | ΔH_f (0 K) (kJ per mole of atoms) | total energy after the MP2020 corrections (eV/atom) | V (Å³ per cell) |
| --- | --- | --- | --- |
| 1 | -211 | -7.765 | 237 |
| 2 | -197 | -6.802 | 904 |
| 3 | -202 | -8.956 | 1150 |
| 4 | -194 | -7.776 | 252 |
| 5 | -200 | -8.900 | 579 |
| 6 | -194 | -7.773 | 509 |
| 7 | -171 | -7.092 | 300 |
| 8 | -177 | -7.148 | 596 |
| 9 | -136 | -5.730 | 424 |